No. 1
! meta-GGA r2SCAN Ga3Sn, optimized geometry; values from VASP
! crystal system: tetragonal
! volume: 82.4 Å³ per cell
! space-group type: I4/mmm
&SYSTEM
  ibrav = 0, nat = 4, ntyp = 2
/
ATOMIC_SPECIES
Ga 69.72 Ga.upf
Sn 118.71 Sn.upf
ATOMIC_POSITIONS angstrom
Ga 0.000 0.000 0.000
Ga 2.278 0.000 1.983
Ga 0.000 2.278 1.983
Sn 0.000 0.000 3.967
CELL_PARAMETERS angstrom
-2.278 2.278 3.967
2.278 -2.278 3.967
2.278 2.278 -3.967

=====

No. 2
! meta-GGA r2SCAN Ga3Sn, optimized geometry; values from VASP
! crystal system: cubic
! volume: 83.3 Å³ per cell
! space-group type: Fm-3m
&SYSTEM
  ibrav = 0, nat = 4, ntyp = 2
/
ATOMIC_SPECIES
Ga 69.72 Ga.upf
Sn 118.71 Sn.upf
ATOMIC_POSITIONS angstrom
Ga 0.000 0.000 0.000
Ga 1.733 1.733 1.733
Ga 5.200 5.200 5.200
Sn 3.467 3.467 3.467
CELL_PARAMETERS angstrom
0.000 3.467 3.467
3.467 0.000 3.467
3.467 3.467 0.000

=====

No. 3
! meta-GGA r2SCAN V2GaSn2, optimized geometry; values from VASP
! crystal system: orthorhombic
! volume: 351.6 Å³ per cell
! space-group type: Cmce
&SYSTEM
  ibrav = 0, nat = 20, ntyp = 3
/
ATOMIC_SPECIES
V 50.94 V.upf
Ga 69.72 Ga.upf
Sn 118.71 Sn.upf
ATOMIC_POSITIONS angstrom
V 2.793 7.979 6.560
V 1.397 2.956 5.053
V 1.397 -2.956 1.684
V 2.793 1.361 3.191
V 2.793 -1.361 3.546
V 4.190 2.956 5.053
V 4.190 -2.956 1.684
V 2.793 -7.979 0.177
Ga 1.397 0.324 5.053
Ga 1.397 -0.324 1.684
Ga 4.190 0.324 5.053
Ga 4.190 -0.324 1.684
Sn 2.793 7.272 3.897
Sn 2.793 5.207 6.229
Sn 2.793 4.133 2.860
Sn 2.793 2.069 0.528
Sn 2.793 -2.069 6.209
Sn 2.793 -4.133 3.877
Sn 2.793 -5.207 0.508
Sn 2.793 -7.272 2.840
CELL_PARAMETERS angstrom
2.793 -9.341 0.000
2.793 9.341 0.000
0.000 0.000 6.737

=====

Number 1: total DFT energy (no corrections) -14.575 eV/atom. Number 2: total DFT energy (no corrections) -14.542 eV/atom. Number 3: total DFT energy (no corrections) -17.948 eV/atom.